[1]
Li2CuSiO4 after structural relaxation, computed with GGA-PBE.

Cell: 5.011 5.456 7.751 Å, 90.00 127.94 90.00°
Atoms (fractional coordinates):
Li1 0.000 0.153 0.000
Li2 0.000 0.847 0.500
Li3 0.247 0.325 0.754
Li4 0.247 0.675 0.254
Cu1 0.739 0.331 0.238
Cu2 0.739 0.669 0.738
Si1 0.493 0.181 0.500
Si2 0.493 0.819 0.000
O1 0.165 0.181 0.498
O2 0.165 0.819 0.998
O3 0.379 0.323 0.275
O4 0.379 0.677 0.775
O5 0.604 0.105 0.003
O6 0.604 0.895 0.503
O7 0.818 0.320 0.722
O8 0.818 0.680 0.222

## Properties
Crystal system   monoclinic
Theoretical density   3368 kg/m³
Symmetry   Pc

[2]
LuAgPb after structural relaxation, computed with GGA-PBE.

Cell: 7.462 7.462 4.535 Å, 90.00 90.00 120.00°
Atoms (fractional coordinates):
Lu1 0.000 0.568 0.000
Lu2 0.432 0.432 0.000
Lu3 0.568 0.000 0.000
Ag1 0.000 0.246 0.500
Ag2 0.246 0.000 0.500
Ag3 0.754 0.754 0.500
Pb1 0.000 0.000 0.000
Pb2 0.333 0.667 0.500
Pb3 0.667 0.333 0.500

## Properties
Crystal system   hexagonal
Theoretical density   11162 kg/m³
Symmetry   P-62m

[3]
Zr3As4O20 after structural relaxation, computed with GGA-PBE.

Cell: 5.673 9.040 9.558 Å, 110.72 91.47 91.12°
Atoms (fractional coordinates):
Zr1 0.000 0.000 0.000
Zr2 0.271 0.727 0.424
Zr3 0.729 0.273 0.576
As1 0.205 0.315 0.345
As2 0.244 0.129 0.707
As3 0.756 0.871 0.293
As4 0.795 0.685 0.655
O1 0.027 0.257 0.705
O2 0.068 0.675 0.584
O3 0.188 0.160 0.173
O4 0.193 0.072 0.859
O5 0.234 0.650 0.946
O6 0.240 0.966 0.549
O7 0.269 0.794 0.985
O8 0.276 0.480 0.306
O9 0.417 0.275 0.454
O10 0.485 0.777 0.265
O11 0.515 0.223 0.735
O12 0.583 0.725 0.546
O13 0.724 0.520 0.694
O14 0.731 0.206 0.015
O15 0.760 0.034 0.451
O16 0.766 0.350 0.054
O17 0.807 0.928 0.141
O18 0.812 0.840 0.827
O19 0.932 0.325 0.416
O20 0.973 0.743 0.295

## Properties
Crystal system   triclinic
Theoretical density   3238 kg/m³
Symmetry   P-1

[4]
TiH8N2F5 after structural relaxation, computed with GGA-PBE.

Cell: 6.353 7.752 11.451 Å, 90.00 90.00 90.00°
Atoms (fractional coordinates):
Ti1 0.000 0.000 0.000
Ti2 0.000 0.500 0.000
Ti3 0.500 0.000 0.500
Ti4 0.500 0.500 0.500
H1 0.020 0.250 0.275
H2 0.021 0.139 0.749
H3 0.021 0.361 0.749
H4 0.073 0.750 0.366
H5 0.099 0.643 0.614
H6 0.099 0.857 0.614
H7 0.127 0.250 0.410
H8 0.186 0.250 0.656
H9 0.314 0.750 0.156
H10 0.373 0.750 0.910
H11 0.401 0.143 0.114
H12 0.401 0.357 0.114
H13 0.427 0.250 0.866
H14 0.479 0.639 0.249
H15 0.479 0.861 0.249
H16 0.480 0.750 0.775
H17 0.520 0.250 0.225
H18 0.521 0.139 0.751
H19 0.521 0.361 0.751
H20 0.573 0.750 0.134
H21 0.599 0.643 0.886
H22 0.599 0.857 0.886
H23 0.627 0.250 0.090
H24 0.686 0.250 0.844
H25 0.814 0.750 0.344
H26 0.873 0.750 0.590
H27 0.901 0.143 0.386
H28 0.901 0.357 0.386
H29 0.927 0.250 0.634
H30 0.979 0.639 0.251
H31 0.979 0.861 0.251
H32 0.980 0.750 0.725
N1 0.012 0.750 0.637
N2 0.042 0.250 0.698
N3 0.458 0.750 0.198
N4 0.488 0.250 0.137
N5 0.512 0.750 0.863
N6 0.542 0.250 0.802
N7 0.958 0.750 0.302
N8 0.988 0.250 0.363
F1 0.084 0.028 0.169
F2 0.084 0.472 0.169
F3 0.118 0.750 0.014
F4 0.223 0.564 0.453
F5 0.223 0.936 0.453
F6 0.277 0.064 0.953
F7 0.277 0.436 0.953
F8 0.382 0.250 0.514
F9 0.416 0.528 0.669
F10 0.416 0.972 0.669
F11 0.584 0.028 0.331
F12 0.584 0.472 0.331
F13 0.618 0.750 0.486
F14 0.723 0.564 0.047
F15 0.723 0.936 0.047
F16 0.777 0.064 0.547
F17 0.777 0.436 0.547
F18 0.882 0.250 0.986
F19 0.916 0.528 0.831
F20 0.916 0.972 0.831

## Properties
Crystal system   orthorhombic
Theoretical density   2108 kg/m³
Symmetry   Pnma

[5]
NaScSiGeS2O12 after structural relaxation, computed with GGA-PBE.

Cell: 8.719 8.719 22.468 Å, 90.99 90.99 60.00°
Atoms (fractional coordinates):
Na1 0.010 0.990 0.500
Na2 0.299 0.346 0.167
Na3 0.346 0.299 0.667
Na4 0.639 0.677 0.835
Na5 0.677 0.639 0.335
Na6 0.990 0.010 0.000
Sc1 0.301 0.330 0.311
Sc2 0.330 0.301 0.811
Sc3 0.650 0.655 0.478
Sc4 0.655 0.650 0.978
Sc5 0.987 0.992 0.644
Sc6 0.992 0.987 0.144
Si1 0.027 0.310 0.413
Si2 0.310 0.027 0.913
Si3 0.367 0.948 0.582
Si4 0.710 0.979 0.749
Si5 0.948 0.367 0.082
Si6 0.979 0.710 0.249
Ge1 0.294 0.312 0.018
Ge2 0.312 0.294 0.518
Ge3 0.647 0.683 0.686
Ge4 0.683 0.647 0.186
Ge5 0.987 0.989 0.351
Ge6 0.989 0.987 0.851
S1 0.039 0.615 0.917
S2 0.286 0.702 0.750
S3 0.293 0.968 0.250
S4 0.306 0.612 0.419
S5 0.376 0.638 0.084
S6 0.612 0.306 0.919
S7 0.615 0.039 0.417
S8 0.638 0.376 0.584
S9 0.638 0.954 0.084
S10 0.702 0.286 0.250
S11 0.954 0.638 0.584
S12 0.968 0.293 0.750
O1 0.006 0.180 0.697
O2 0.022 0.120 0.406
O3 0.024 0.793 0.915
O4 0.113 0.333 0.756
O5 0.119 0.335 0.357
O6 0.120 0.022 0.906
O7 0.126 0.510 0.865
O8 0.134 0.477 0.580
O9 0.140 0.789 0.414
O10 0.143 0.362 0.077
O11 0.147 0.513 0.254
O12 0.149 0.533 0.974
O13 0.154 0.271 0.475
O14 0.169 0.982 0.588
O15 0.180 0.006 0.197
O16 0.185 0.786 0.696
O17 0.196 0.789 0.089
O18 0.208 0.816 0.805
O19 0.208 0.949 0.304
O20 0.271 0.154 0.975
O21 0.287 0.526 0.473
O22 0.301 0.529 0.757
O23 0.331 0.509 0.364
O24 0.333 0.113 0.256
O25 0.335 0.119 0.857
O26 0.362 0.143 0.577
O27 0.371 0.469 0.078
O28 0.453 0.667 0.031
O29 0.460 0.639 0.423
O30 0.460 0.835 0.525
O31 0.462 0.796 0.243
O32 0.469 0.371 0.578
O33 0.469 0.680 0.746
O34 0.475 0.831 0.922
O35 0.477 0.134 0.080
O36 0.484 0.617 0.140
O37 0.489 0.861 0.644
O38 0.509 0.331 0.864
O39 0.510 0.126 0.365
O40 0.513 0.147 0.754
O41 0.526 0.287 0.973
O42 0.529 0.301 0.257
O43 0.533 0.149 0.474
O44 0.610 0.874 0.139
O45 0.617 0.484 0.640
O46 0.635 0.862 0.422
O47 0.639 0.460 0.923
O48 0.655 0.851 0.030
O49 0.667 0.453 0.531
O50 0.680 0.469 0.246
O51 0.699 0.792 0.746
O52 0.786 0.185 0.196
O53 0.789 0.140 0.914
O54 0.789 0.196 0.589
O55 0.792 0.699 0.246
O56 0.793 0.024 0.415
O57 0.796 0.462 0.743
O58 0.796 0.973 0.089
O59 0.805 0.994 0.692
O60 0.816 0.208 0.305
O61 0.831 0.475 0.422
O62 0.835 0.460 0.025
O63 0.836 0.949 0.811
O64 0.851 0.655 0.530
O65 0.861 0.489 0.144
O66 0.862 0.635 0.922
O67 0.874 0.610 0.639
O68 0.949 0.208 0.804
O69 0.949 0.836 0.311
O70 0.973 0.796 0.589
O71 0.982 0.169 0.088
O72 0.994 0.805 0.192

## Properties
Crystal system   monoclinic
Theoretical density   2862 kg/m³
Symmetry   Cc

[6]
BaGa2Se4 after structural relaxation, computed with GGA-PBE.

Cell: 6.584 6.584 11.608 Å, 90.00 90.00 122.19°
Atoms (fractional coordinates):
Ba1 0.000 0.000 0.250
Ba2 0.000 0.000 0.750
Ga1 0.258 0.740 0.000
Ga2 0.260 0.742 0.500
Ga3 0.740 0.258 0.500
Ga4 0.742 0.260 0.000
Se1 0.000 0.500 0.161
Se2 0.000 0.500 0.839
Se3 0.147 0.324 0.500
Se4 0.324 0.147 0.000
Se5 0.500 0.000 0.339
Se6 0.500 0.000 0.661
Se7 0.676 0.853 0.000
Se8 0.853 0.676 0.500

## Properties
Crystal system   orthorhombic
Theoretical density   4621 kg/m³
Symmetry   Cccm

[7]
CaAl2SiO6 after structural relaxation, computed with GGA-PBE.

Cell: 5.330 8.739 9.715 Å, 90.10 105.49 90.24°
Atoms (fractional coordinates):
Ca1 0.000 0.000 0.000
Ca2 0.014 0.126 0.517
Ca3 0.500 0.622 0.000
Ca4 0.514 0.501 0.517
Al1 0.004 0.406 0.999
Al2 0.020 0.720 0.508
Al3 0.177 0.409 0.716
Al4 0.181 0.714 0.219
Al5 0.506 0.222 0.001
Al6 0.518 0.901 0.505
Al7 0.676 0.214 0.714
Al8 0.830 0.715 0.786
Si1 0.324 0.215 0.291
Si2 0.333 0.909 0.794
Si3 0.681 0.909 0.212
Si4 0.824 0.407 0.289
O1 0.112 0.323 0.348
O2 0.138 0.800 0.859
O3 0.201 0.540 0.135
O4 0.213 0.587 0.640
O5 0.243 0.219 0.116
O6 0.244 0.901 0.617
O7 0.276 0.385 0.906
O8 0.277 0.740 0.406
O9 0.317 0.075 0.870
O10 0.321 0.055 0.373
O11 0.366 0.288 0.639
O12 0.388 0.837 0.149
O13 0.613 0.301 0.350
O14 0.624 0.837 0.857
O15 0.701 0.077 0.140
O16 0.712 0.039 0.634
O17 0.736 0.394 0.114
O18 0.744 0.731 0.598
O19 0.774 0.898 0.389
O20 0.776 0.231 0.907
O21 0.809 0.545 0.874
O22 0.828 0.571 0.367
O23 0.865 0.337 0.639
O24 0.872 0.798 0.147

## Properties
Crystal system   triclinic
Theoretical density   3322 kg/m³
Symmetry   P1

[8]
Zr4CuNi after structural relaxation, computed with GGA-PBE.

Cell: 6.590 6.590 5.208 Å, 90.00 90.00 90.00°
Atoms (fractional coordinates):
Zr1 0.161 0.339 0.250
Zr2 0.161 0.661 0.750
Zr3 0.339 0.161 0.750
Zr4 0.339 0.839 0.250
Zr5 0.661 0.161 0.250
Zr6 0.661 0.839 0.750
Zr7 0.839 0.339 0.750
Zr8 0.839 0.661 0.250
Cu1 0.000 0.000 0.500
Cu2 0.500 0.500 0.000
Ni1 0.000 0.000 0.000
Ni2 0.500 0.500 0.500

## Properties
Crystal system   tetragonal
Theoretical density   7153 kg/m³
Symmetry   I422

[9]
Na3ZrZnP3O12 after structural relaxation, computed with GGA-PBE.

Cell: 15.717 9.107 8.953 Å, 90.00 124.68 90.00°
Atoms (fractional coordinates):
Na1 0.251 0.723 0.980
Na2 0.751 0.777 0.480
Na3 0.751 0.223 0.980
Na4 0.251 0.277 0.480
Na5 0.503 0.113 0.745
Na6 0.503 0.887 0.245
Na7 0.003 0.613 0.745
Na8 0.003 0.387 0.245
Na9 0.185 0.944 0.288
Na10 0.185 0.056 0.788
Na11 0.685 0.444 0.288
Na12 0.685 0.556 0.788
Zr1 0.894 0.759 0.941
Zr2 0.894 0.241 0.441
Zr3 0.394 0.259 0.941
Zr4 0.394 0.741 0.441
Zn1 0.097 0.751 0.548
Zn2 0.097 0.249 0.048
Zn3 0.597 0.251 0.548
Zn4 0.597 0.749 0.048
P1 0.005 0.950 0.763
P2 0.005 0.050 0.263
P3 0.505 0.450 0.763
P4 0.505 0.550 0.263
P5 0.352 0.899 0.762
P6 0.644 0.895 0.745
P7 0.644 0.105 0.245
P8 0.352 0.101 0.262
P9 0.852 0.399 0.762
P10 0.144 0.395 0.745
P11 0.144 0.605 0.245
P12 0.852 0.601 0.262
O1 0.151 0.562 0.740
O2 0.846 0.573 0.755
O3 0.846 0.427 0.255
O4 0.151 0.438 0.240
O5 0.651 0.062 0.740
O6 0.346 0.073 0.755
O7 0.346 0.927 0.255
O8 0.651 0.938 0.240
O9 0.446 0.557 0.596
O10 0.569 0.538 0.939
O11 0.569 0.462 0.439
O12 0.446 0.443 0.096
O13 0.946 0.057 0.596
O14 0.069 0.038 0.939
O15 0.069 0.962 0.439
O16 0.946 0.943 0.096
O17 0.256 0.842 0.751
O18 0.735 0.817 0.749
O19 0.735 0.183 0.249
O20 0.256 0.158 0.251
O21 0.756 0.342 0.751
O22 0.235 0.317 0.749
O23 0.235 0.683 0.249
O24 0.756 0.658 0.251
O25 0.350 0.856 0.589
O26 0.646 0.844 0.909
O27 0.646 0.156 0.409
O28 0.350 0.144 0.089
O29 0.850 0.356 0.589
O30 0.146 0.344 0.909
O31 0.146 0.656 0.409
O32 0.850 0.644 0.089
O33 0.453 0.849 0.934
O34 0.542 0.836 0.567
O35 0.542 0.164 0.067
O36 0.453 0.151 0.434
O37 0.953 0.349 0.934
O38 0.042 0.336 0.567
O39 0.042 0.664 0.067
O40 0.953 0.651 0.434
O41 0.078 0.846 0.748
O42 0.919 0.851 0.751
O43 0.919 0.149 0.251
O44 0.078 0.154 0.248
O45 0.578 0.346 0.748
O46 0.419 0.351 0.751
O47 0.419 0.649 0.251
O48 0.578 0.654 0.248

## Properties
Theoretical density   3218 kg/m³

[10]
MoSeN after structural relaxation, computed with GGA-PBE.

Cell: 3.425 3.425 8.547 Å, 90.00 90.00 90.00°
Atoms (fractional coordinates):
Mo1 0.250 0.250 0.128
Mo2 0.750 0.750 0.872
Se1 0.250 0.250 0.693
Se2 0.750 0.750 0.307
N1 0.250 0.750 0.000
N2 0.750 0.250 0.000

## Properties
Crystal system   tetragonal
Theoretical density   6259 kg/m³
Symmetry   P4/nmm

ΔH_f (0 K) for every record listed, in sequence, given in eV per atom: -2.33; -0.30; -1.80; -1.65; -2.40; -1.36; -3.41; -0.21; -2.76; -0.21.
V for every record listed, in sequence, given in Å³ per cell: 167; 219; 458; 564; 1479; 426; 436; 226; 1054; 100.